Record 1
# Zr5CdSb2 | the Materials Project database | PBE-GGA | relaxed
# Spin magnetization (μB/f.u.): 0.00
# Calculated formation energy (eV/atom): -0.560
# V (Å³ per atom): 22.3
data_Zr5CdSb2
_symmetry_space_group_name_H-M 'I 4/m c m'
_symmetry_Int_Tables_number 140
_symmetry_space_group_name_Hall '-I 4 2c'
_cell_length_a 11.276
_cell_length_b 11.276
_cell_length_c 5.622
_cell_angle_alpha 90.00
_cell_angle_beta 90.00
_cell_angle_gamma 90.00
loop_
_atom_site_label
_atom_site_fract_x
_atom_site_fract_y
_atom_site_fract_z
Zr1 0.000 0.500 0.250
Zr2 0.078 0.225 0.000
Cd1 0.000 0.000 0.250
Sb1 0.164 0.336 0.500

***

Record 2
# ScCd7 | the Materials Project database | PBE-GGA | relaxed
# Calculated formation energy (eV/atom): -0.107
# V (Å³ per atom): 22.4
data_ScCd7
_symmetry_space_group_name_H-M 'C m c m'
_symmetry_Int_Tables_number 63
_symmetry_space_group_name_Hall '-C 2c 2'
_cell_length_a 7.448
_cell_length_b 10.195
_cell_length_c 9.434
_cell_angle_alpha 90.00
_cell_angle_beta 90.00
_cell_angle_gamma 90.00
loop_
_atom_site_label
_atom_site_fract_x
_atom_site_fract_y
_atom_site_fract_z
Sc1 0.000 0.022 0.250
Cd1 0.000 0.209 0.517
Cd2 0.000 0.415 0.750
Cd3 0.203 0.300 0.250
Cd4 0.212 0.500 0.000

***

Record 3
# ScCd3 | the Materials Project database | PBE-GGA | relaxed
# Calculated formation energy (eV/atom): -0.214
# V (Å³ per atom): 21.8
data_ScCd3
_symmetry_space_group_name_H-M 'P 63/m m c'
_symmetry_Int_Tables_number 194
_symmetry_space_group_name_Hall '-P 6c 2c'
_cell_length_a 6.3992
_cell_length_b 6.3992
_cell_length_c 4.9114
_cell_angle_alpha 90.00
_cell_angle_beta 90.00
_cell_angle_gamma 120.00
loop_
_atom_site_label
_atom_site_fract_x
_atom_site_fract_y
_atom_site_fract_z
Sc1 0.3333 0.6667 0.2500
Cd1 0.1670 0.3339 0.7500

***

Record 4
# ScCd | the Materials Project database | PBE-GGA | relaxed
# Calculated formation energy (eV/atom): -0.290
# V (Å³ per atom): 22.3
data_ScCd
_symmetry_space_group_name_H-M 'P m -3 m'
_symmetry_Int_Tables_number 221
_symmetry_space_group_name_Hall '-P 4 2 3'
_cell_length_a 3.547
_cell_length_b 3.547
_cell_length_c 3.547
_cell_angle_alpha 90.00
_cell_angle_beta 90.00
_cell_angle_gamma 90.00
loop_
_atom_site_label
_atom_site_fract_x
_atom_site_fract_y
_atom_site_fract_z
Sc1 0.000 0.000 0.000
Cd1 0.500 0.500 0.500

***

Record 5
# Sc2TlCd | the Materials Project database | PBE-GGA | relaxed
# Calculated formation energy (eV/atom): -0.291
# V (Å³ per atom): 22.8
data_Sc2TlCd
_symmetry_space_group_name_H-M 'F m -3 m'
_symmetry_Int_Tables_number 225
_symmetry_space_group_name_Hall '-F 4 2 3'
_cell_length_a 7.144
_cell_length_b 7.144
_cell_length_c 7.144
_cell_angle_alpha 90.00
_cell_angle_beta 90.00
_cell_angle_gamma 90.00
loop_
_atom_site_label
_atom_site_fract_x
_atom_site_fract_y
_atom_site_fract_z
Sc1 0.250 0.250 0.250
Tl1 0.000 0.000 0.000
Cd1 0.000 0.000 0.500

***

Record 6
# ScTlCd | the Materials Project database | PBE-GGA | relaxed
# Spin magnetization (μB/f.u.): 0.00
# Calculated formation energy (eV/atom): 0.109
# V (Å³ per atom): 27.1
data_ScTlCd
_symmetry_space_group_name_H-M 'F -4 3 m'
_symmetry_Int_Tables_number 216
_symmetry_space_group_name_Hall 'F -4 2 3'
_cell_length_a 6.879
_cell_length_b 6.879
_cell_length_c 6.879
_cell_angle_alpha 90.00
_cell_angle_beta 90.00
_cell_angle_gamma 90.00
loop_
_atom_site_label
_atom_site_fract_x
_atom_site_fract_y
_atom_site_fract_z
Sc1 0.000 0.000 0.000
Tl1 0.250 0.250 0.750
Cd1 0.250 0.250 0.250